Record 1
Material: K2NaBiI6
Method: DFT, PBE
State: optimized geometry

Output
- Energy with MP2020 corrections: -2.8480 eV per atom
- E_tot: -2.6206 eV/atom
- DFT formation energy: -1148 kJ/mol of formula units

Lattice parameters (Å, degrees): 8.766 8.766 8.766 60.00 60.00 60.00
Positions (direct):
1 I 0.752 0.248 0.752
2 Bi 0.000 0.000 0.000
3 Na 0.500 0.500 0.500
4 I 0.248 0.752 0.248
5 K 0.750 0.750 0.750
6 I 0.248 0.752 0.752
7 I 0.752 0.752 0.248
8 I 0.752 0.248 0.248
9 I 0.248 0.248 0.752
10 K 0.250 0.250 0.250

Record 2
Material: LiB3O5
Method: DFT, PBE
State: optimized geometry

Output
- Energy with MP2020 corrections: -7.9597 eV per atom
- ΔE to the lowest computed polymorph: 3.7 kJ/mol of atoms
- E_tot: -7.5781 eV/atom
- DFT formation energy: -2407 kJ/mol of formula units

Lattice parameters (Å, degrees): 7.669 8.386 17.440 90.00 90.00 90.00
Positions (direct):
1 O 0.056 0.551 0.621
2 B 0.921 0.879 0.744
3 Li 0.750 0.800 0.342
4 O 0.942 0.339 0.538
5 O 0.750 0.392 0.271
6 Li 0.250 0.700 0.842
7 O 0.750 0.839 0.719
8 B 0.925 0.429 0.610
9 B 0.417 0.124 0.806
10 B 0.925 0.929 0.890
11 O 0.965 0.807 0.820
12 B 0.421 0.368 0.169
13 O 0.945 0.935 0.380
14 O 0.944 0.949 0.121
15 B 0.421 0.868 0.331
16 B 0.082 0.262 0.508
17 O 0.558 0.839 0.962
18 O 0.553 0.056 0.749
19 O 0.555 0.435 0.120
20 O 0.056 0.051 0.879
21 B 0.918 0.238 0.008
22 B 0.079 0.868 0.331
23 B 0.579 0.879 0.744
24 O 0.053 0.444 0.249
25 B 0.575 0.429 0.610
26 B 0.421 0.621 0.244
27 O 0.957 0.693 0.185
28 O 0.750 0.700 0.465
29 B 0.579 0.379 0.756
30 B 0.418 0.262 0.508
31 O 0.944 0.449 0.379
32 O 0.445 0.065 0.620
33 Li 0.750 0.535 0.966
34 O 0.066 0.658 0.053
35 Li 0.250 0.965 0.466
36 B 0.079 0.621 0.244
37 O 0.566 0.342 0.947
38 O 0.535 0.807 0.820
39 B 0.575 0.929 0.890
40 B 0.921 0.632 0.831
41 B 0.917 0.876 0.194
42 B 0.579 0.132 0.669
43 B 0.422 0.895 0.607
44 O 0.250 0.661 0.219
45 O 0.447 0.944 0.251
46 Li 0.250 0.773 0.125
47 O 0.947 0.056 0.749
48 O 0.053 0.944 0.251
49 O 0.055 0.065 0.620
50 B 0.421 0.121 0.256
51 O 0.750 0.200 0.035
52 Li 0.750 0.300 0.158
53 B 0.078 0.395 0.893
54 O 0.965 0.307 0.680
55 O 0.457 0.807 0.685
56 B 0.579 0.632 0.831
57 B 0.582 0.238 0.008
58 O 0.250 0.300 0.535
59 O 0.250 0.006 0.116
60 Li 0.250 0.604 0.543
61 O 0.447 0.444 0.249
62 O 0.444 0.051 0.879
63 O 0.556 0.449 0.379
64 O 0.566 0.842 0.553
65 O 0.553 0.556 0.751
66 O 0.535 0.307 0.680
67 B 0.921 0.379 0.756
68 B 0.425 0.071 0.110
69 B 0.578 0.105 0.393
70 O 0.066 0.158 0.447
71 O 0.556 0.949 0.121
72 O 0.442 0.661 0.462
73 Li 0.250 0.104 0.957
74 O 0.035 0.193 0.180
75 B 0.083 0.624 0.694
76 O 0.750 0.109 0.639
77 B 0.075 0.571 0.390
78 B 0.078 0.895 0.607
79 B 0.917 0.376 0.306
80 O 0.947 0.556 0.751
81 O 0.035 0.693 0.320
82 O 0.434 0.158 0.447
83 Li 0.750 0.227 0.875
84 Li 0.750 0.727 0.625
85 O 0.555 0.935 0.380
86 B 0.079 0.368 0.169
87 Li 0.250 0.465 0.034
88 B 0.079 0.121 0.256
89 O 0.945 0.435 0.120
90 O 0.055 0.565 0.880
91 Li 0.250 0.273 0.375
92 O 0.250 0.355 0.924
93 O 0.043 0.807 0.685
94 O 0.957 0.193 0.315
95 O 0.934 0.842 0.553
96 O 0.058 0.661 0.462
97 B 0.083 0.124 0.806
98 O 0.558 0.339 0.538
99 Li 0.250 0.200 0.658
100 O 0.750 0.145 0.424
101 B 0.082 0.762 0.992
102 B 0.422 0.395 0.893
103 O 0.942 0.839 0.962
104 O 0.934 0.342 0.947
105 B 0.418 0.762 0.992
106 O 0.250 0.161 0.281
107 O 0.543 0.693 0.185
108 B 0.075 0.071 0.110
109 O 0.250 0.800 0.965
110 O 0.750 0.339 0.781
111 O 0.750 0.645 0.076
112 O 0.434 0.658 0.053
113 B 0.583 0.876 0.194
114 O 0.750 0.994 0.884
115 B 0.922 0.605 0.107
116 Li 0.750 0.396 0.457
117 O 0.465 0.193 0.180
118 B 0.921 0.132 0.669
119 O 0.250 0.391 0.139
120 O 0.250 0.608 0.729
121 O 0.750 0.494 0.616
122 B 0.583 0.376 0.306
123 O 0.250 0.108 0.771
124 O 0.543 0.193 0.315
125 B 0.425 0.571 0.390
126 O 0.250 0.855 0.576
127 Li 0.750 0.896 0.043
128 O 0.444 0.551 0.621
129 B 0.417 0.624 0.694
130 O 0.750 0.609 0.861
131 B 0.582 0.738 0.492
132 O 0.250 0.891 0.361
133 B 0.918 0.738 0.492
134 O 0.457 0.307 0.815
135 O 0.043 0.307 0.815
136 B 0.578 0.605 0.107
137 O 0.445 0.565 0.880
138 O 0.442 0.161 0.038
139 B 0.922 0.105 0.393
140 O 0.750 0.892 0.229
141 O 0.058 0.161 0.038
142 Li 0.750 0.035 0.534
143 O 0.250 0.506 0.384
144 O 0.465 0.693 0.320

Record 3
Material: NaLi3
Method: DFT, PBE
State: optimized geometry

Output
- ΔE to the lowest computed polymorph: 0.0 kJ/mol of atoms
- E_tot: -1.7128 eV/atom
- DFT formation energy: 19 kJ/mol of formula units

Lattice parameters (Å, degrees): 6.490 6.490 5.301 90.00 90.00 120.00
Positions (direct):
1 Li 0.840 0.160 0.750
2 Na 0.333 0.667 0.750
3 Li 0.681 0.840 0.250
4 Li 0.840 0.681 0.750
5 Li 0.160 0.840 0.250
6 Li 0.319 0.160 0.750
7 Li 0.160 0.319 0.250
8 Na 0.667 0.333 0.250

Record 4
Material: CeMg2
Method: DFT, PBE
State: optimized geometry

Output
- E_tot: -3.0029 eV/atom
- DFT formation energy: 12 kJ/mol of formula units

Lattice parameters (Å, degrees): 8.623 8.623 5.656 90.00 90.00 158.99
Positions (direct):
1 Ce 0.124 0.876 0.500
2 Mg 0.998 0.002 0.000
3 Mg 0.445 0.555 0.500
4 Mg 0.333 0.667 0.000
5 Ce 0.766 0.234 0.500
6 Mg 0.668 0.332 0.000

Record 5
Material: BaZnSn4O8
Method: DFT, PBE
State: optimized geometry

Output
- Energy with MP2020 corrections: -6.0696 eV per atom
- E_tot: -5.6771 eV/atom
- DFT formation energy: -2525 kJ/mol of formula units

Lattice parameters (Å, degrees): 6.007 6.007 6.930 90.00 90.00 120.00
Positions (direct):
1 O 0.667 0.333 0.000
2 O 0.708 0.000 0.697
3 O 0.000 0.708 0.697
4 Sn 0.333 0.667 0.292
5 Sn 0.667 0.333 0.708
6 Zn 0.000 0.000 0.500
7 O 0.292 0.292 0.697
8 O 0.708 0.708 0.303
9 Sn 0.333 0.667 0.708
10 Sn 0.667 0.333 0.292
11 O 0.000 0.292 0.303
12 O 0.333 0.667 0.000
13 Ba 0.000 0.000 0.000
14 O 0.292 0.000 0.303

Record 6
Material: Lu2MgSe4
Method: DFT, PBE
State: optimized geometry

Output
- Energy with MP2020 corrections: -5.4694 eV per atom
- ΔE to the lowest computed polymorph: 0.0 kJ/mol of atoms
- E_tot: -5.1997 eV/atom
- DFT formation energy: -1318 kJ/mol of formula units

Lattice parameters (Å, degrees): 8.148 8.148 8.148 60.00 60.00 60.00
Positions (direct):
1 Lu 0.625 0.625 0.125
2 Se 0.858 0.381 0.381
3 Se 0.392 0.869 0.869
4 Lu 0.625 0.125 0.625
5 Lu 0.625 0.625 0.625
6 Se 0.869 0.869 0.392
7 Se 0.381 0.858 0.381
8 Se 0.869 0.869 0.869
9 Mg 0.250 0.250 0.250
10 Se 0.381 0.381 0.381
11 Lu 0.125 0.625 0.625
12 Mg 0.000 0.000 0.000
13 Se 0.869 0.392 0.869
14 Se 0.381 0.381 0.858

Record 7
Material: HfH3
Method: DFT, PBE
State: optimized geometry

Output
- Energy with MP2020 corrections: -5.3876 eV per atom
- E_tot: -5.2533 eV/atom
- DFT formation energy: -137 kJ/mol of formula units

Lattice parameters (Å, degrees): 3.085 3.085 3.085 90.00 90.00 90.00
Positions (direct):
1 H 0.000 0.500 0.500
2 H 0.500 0.000 0.500
3 Hf 0.000 0.000 0.000
4 H 0.500 0.500 0.000

Record 8
Material: Y2InNi2
Method: DFT, PBE
State: optimized geometry

Output
- E_tot: -5.9702 eV/atom
- DFT formation energy: -251 kJ/mol of formula units

Lattice parameters (Å, degrees): 3.640 3.979 7.394 74.39 90.00 90.00
Positions (direct):
1 Ni 0.000 0.800 0.399
2 Ni 0.000 0.200 0.601
3 In 0.000 0.000 0.000
4 Y 0.500 0.363 0.275
5 Y 0.500 0.637 0.725

Record 9
Material: ZrAl2Si
Method: DFT, PBE
State: optimized geometry

Output
- Energy with MP2020 corrections: -5.8020 eV per atom
- E_tot: -5.8197 eV/atom
- DFT formation energy: -168 kJ/mol of formula units

Lattice parameters (Å, degrees): 3.918 3.918 5.153 67.65 67.65 90.00
Positions (direct):
1 Si 0.750 0.250 0.500
2 Al 0.250 0.750 0.500
3 Al 0.500 0.500 0.000
4 Zr 0.000 0.000 0.000

Record 10
Material: MgAl2S4
Method: DFT, PBE
State: optimized geometry

Output
- Energy with MP2020 corrections: -5.1255 eV per atom
- E_tot: -4.8381 eV/atom
- DFT formation energy: -988 kJ/mol of formula units

Lattice parameters (Å, degrees): 7.240 7.241 7.240 60.00 90.00 120.00
Positions (direct):
1 S 0.713 0.476 0.262
2 Mg 0.875 0.250 0.875
3 Al 0.500 0.000 0.500
4 Al 0.500 0.500 0.000
5 S 0.738 0.524 0.738
6 S 0.262 0.024 0.262
7 Mg 0.125 0.750 0.125
8 S 0.738 0.976 0.287
9 S 0.287 0.524 0.738
10 S 0.262 0.476 0.262
11 Al 0.500 0.500 0.500
12 Al 0.000 0.000 0.500
13 S 0.262 0.024 0.713
14 S 0.738 0.976 0.738

Record 11
Material: VZn2N3
Method: DFT, PBE
State: optimized geometry

Output
- Energy with MP2020 corrections: -6.6813 eV per atom
- Maximum piezoelectric response: 1.0 C/m2
- E_tot: -6.5008 eV/atom
- DFT formation energy: -335 kJ/mol of formula units

Lattice parameters (Å, degrees): 5.555 5.555 5.292 90.00 90.00 119.30
Positions (direct):
1 N 0.145 0.145 0.317
2 Zn 0.169 0.502 0.473
3 N 0.833 0.529 0.360
4 N 0.855 0.855 0.817
5 V 0.162 0.162 0.962
6 Zn 0.498 0.831 0.973
7 V 0.838 0.838 0.462
8 N 0.471 0.167 0.860
9 N 0.529 0.833 0.360
10 N 0.167 0.471 0.860
11 Zn 0.502 0.169 0.473
12 Zn 0.831 0.498 0.973

Record 12
Material: BaSrI4
Method: DFT, PBE
State: optimized geometry

Output
- Energy with MP2020 corrections: -3.5976 eV per atom
- E_tot: -3.3450 eV/atom
- DFT formation energy: -1146 kJ/mol of formula units

Lattice parameters (Å, degrees): 10.219 11.197 11.208 90.00 90.00 90.00
Positions (direct):
1 I 0.979 0.226 0.406
2 I 0.756 0.544 0.226
3 Ba 0.996 0.761 0.217
4 I 0.979 0.233 0.028
5 Sr 0.273 0.751 0.717
6 I 0.521 0.733 0.528
7 Ba 0.004 0.239 0.717
8 I 0.021 0.774 0.906
9 Ba 0.496 0.739 0.217
10 Ba 0.504 0.261 0.717
11 Sr 0.227 0.251 0.217
12 I 0.734 0.955 0.206
13 I 0.266 0.045 0.706
14 I 0.234 0.545 0.206
15 I 0.244 0.456 0.726
16 I 0.021 0.767 0.528
17 Sr 0.727 0.249 0.217
18 I 0.521 0.726 0.906
19 I 0.479 0.267 0.028
20 I 0.744 0.044 0.726
21 I 0.479 0.274 0.406
22 I 0.766 0.455 0.706
23 I 0.256 0.956 0.226
24 Sr 0.773 0.749 0.717